Entry from the Materials Project database: a relaxed K4Re2H3C8O18 crystal (GGA-PBE).

The structure in CIF format:
```
data_K4Re2H3C8O18
_chemical_formula_sum 'K8 Re4 H6 C16 O36'
_cell_length_a 9.007
_cell_length_b 10.097
_cell_length_c 13.077
_cell_angle_alpha 86.84
_cell_angle_beta 88.34
_cell_angle_gamma 69.77
_symmetry_space_group_name_H-M 'P -1'
_symmetry_Int_Tables_number 2
loop_
_symmetry_equiv_pos_as_xyz
'x,y,z'
'-x,-y,-z'
loop_
_atom_site_label
_atom_site_fract_x
_atom_site_fract_y
_atom_site_fract_z
K1 0.074 0.114 0.136
K2 0.090 0.851 0.407
K3 0.322 0.483 0.859
K4 0.381 0.228 0.557
Re1 0.230 0.426 0.239
Re2 0.484 0.256 0.211
H1 0.264 0.232 0.763
H2 0.344 0.927 0.283
H3 0.384 0.619 0.443
C1 0.065 0.569 0.654
C2 0.070 0.371 0.425
C3 0.102 0.727 0.174
C4 0.144 0.643 0.075
C5 0.211 0.842 0.683
C6 0.328 0.888 0.613
C7 0.373 0.946 0.945
C8 0.433 0.798 0.002
O1 0.013 0.559 0.748
O2 0.046 0.857 0.172
O3 0.051 0.323 0.512
O4 0.069 0.877 0.658
O5 0.129 0.701 0.988
O6 0.131 0.646 0.258
O7 0.196 0.506 0.091
O8 0.206 0.533 0.629
O9 0.207 0.375 0.392
O10 0.274 0.766 0.764
O11 0.279 0.231 0.200
O12 0.284 0.962 0.532
O13 0.297 0.053 0.991
O14 0.410 0.943 0.848
O15 0.425 0.779 0.096
O16 0.434 0.451 0.251
O17 0.474 0.841 0.644
O18 0.493 0.693 0.940
```

Results
MP2020-corrected energy in eV/atom: -7.189
Mass density in g/cm³: 2.730